The following is a PBE-GGA calculation of crystalline Ti2H2Pd at its relaxed geometry, from Materials Project.

- space group = I4/mmm (139)
- E_form (eV per atom) = -0.480
- ρ (Mg/m³) = 6.6

Cell lengths 6.5844, 6.5844, 6.5844 Å; angles 154.92, 154.92, 35.76 degrees
Sites, in units of the cell vectors:
Ti: 0.1597 0.1597 0.0000
Ti: 0.8403 0.8403 0.0000
H: 0.3139 0.3139 0.0000
H: 0.6861 0.6861 0.0000
Pd: 0.5000 0.5000 0.0000